The following is a DFT calculation (PBE) of Li3SbS3 after structural relaxation.

M_tot ... 0.0 μB per formula unit
Crystal system ... trigonal
Energy above the most stable polymorph in this dataset ... 35 meV per atom
SG ... R3m (160)
Calculated volume ... 142 Å³ per cell
Total energy ... -4.10 eV per atom

Cell lengths 6.352, 6.352, 6.352 Å; angles 115.15, 115.15, 115.15 degrees
Sites, in units of the cell vectors:
Li1 0.549 0.985 0.549
Li2 0.549 0.549 0.985
Li3 0.985 0.549 0.549
Sb1 0.134 0.134 0.134
S1 0.978 0.627 0.978
S2 0.978 0.978 0.627
S3 0.627 0.978 0.978